First-principles (PBE-GGA) data for an optimized crystal structure of CeSe2, as listed in the Materials Project.

Unit cell a=15.348 b=15.348 c=15.348 alpha=125.15 beta=125.15 gamma=81.29
Sites, in units of the cell vectors:
Ce 0.069 0.291 0.977
Ce 0.092 0.069 0.279
Ce 0.187 0.908 0.477
Ce 0.209 0.431 0.523
Ce 0.291 0.813 0.221
Ce 0.313 0.791 0.721
Ce 0.408 0.687 0.977
Ce 0.431 0.408 0.221
Ce 0.569 0.592 0.779
Ce 0.592 0.313 0.023
Ce 0.687 0.209 0.279
Ce 0.709 0.187 0.779
Ce 0.791 0.569 0.477
Ce 0.813 0.092 0.523
Ce 0.908 0.931 0.721
Ce 0.931 0.709 0.023
Se 0.005 0.255 0.750
Se 0.038 0.250 0.288
Se 0.096 0.654 0.998
Se 0.098 0.096 0.942
Se 0.154 0.596 0.498
Se 0.156 0.098 0.502
Se 0.245 0.495 0.750
Se 0.250 0.462 0.212
Se 0.250 0.962 0.712
Se 0.255 0.005 0.250
Se 0.344 0.846 0.942
Se 0.346 0.844 0.442
Se 0.402 0.344 0.998
Se 0.404 0.402 0.558
Se 0.462 0.750 0.212
Se 0.495 0.245 0.250
Se 0.505 0.755 0.750
Se 0.538 0.250 0.788
Se 0.596 0.598 0.442
Se 0.598 0.656 0.002
Se 0.654 0.156 0.558
Se 0.656 0.154 0.058
Se 0.745 0.995 0.750
Se 0.750 0.038 0.288
Se 0.750 0.538 0.788
Se 0.755 0.505 0.250
Se 0.844 0.902 0.498
Se 0.846 0.404 0.502
Se 0.902 0.904 0.058
Se 0.904 0.346 0.002
Se 0.962 0.750 0.712
Se 0.995 0.745 0.250

Final energy: -5.404 eV/atom
E_form: -1.41 eV/atom